Entry 1:
The following is a DFT calculation (PBE) of crystalline LiAl3 at its relaxed geometry.

Lattice parameters (Å, degrees): 4.026 4.026 4.026 90.00 90.00 90.00
Sites, in units of the cell vectors:
Li: 0.000 0.000 0.000
Al: 0.000 0.500 0.500
Al: 0.500 0.000 0.500
Al: 0.500 0.500 0.000

- E (eV for the cell shown) = -13.54
- symmetry = No. 221
- E_form (eV/atom) = -0.10
- theoretical density (g/cm³) = 2.24

***

Entry 2:
The following is a DFT calculation (PBE) of crystalline V2ReRu at its relaxed geometry.

Lattice parameters (Å, degrees): 4.280 4.280 4.280 60.00 60.00 60.00
Sites, in units of the cell vectors:
V: 0.250 0.250 0.250
V: 0.750 0.750 0.750
Re: 0.000 0.000 0.000
Ru: 0.500 0.500 0.500

- E (eV for the cell shown) = -41.08
- symmetry = No. 225
- E_form (eV/atom) = -0.30
- theoretical density (g/cm³) = 11.66

***

Entry 3:
The following is a DFT calculation (PBE) of crystalline ZnGa2S4 at its relaxed geometry.

Lattice parameters (Å, degrees): 13.743 11.697 11.195 73.75 54.80 51.45
Sites, in units of the cell vectors:
Zn: 0.119 0.631 0.119
Zn: 0.125 0.125 0.125
Zn: 0.369 0.881 0.369
Zn: 0.375 0.375 0.375
Zn: 0.625 0.625 0.625
Zn: 0.631 0.119 0.631
Zn: 0.875 0.875 0.875
Zn: 0.881 0.369 0.881
Ga: 0.032 0.859 0.465
Ga: 0.114 0.364 0.384
Ga: 0.141 0.968 0.856
Ga: 0.144 0.465 0.859
Ga: 0.361 0.616 0.636
Ga: 0.364 0.114 0.639
Ga: 0.384 0.639 0.114
Ga: 0.465 0.144 0.032
Ga: 0.535 0.856 0.968
Ga: 0.616 0.361 0.886
Ga: 0.636 0.886 0.361
Ga: 0.639 0.384 0.364
Ga: 0.856 0.535 0.141
Ga: 0.859 0.032 0.144
Ga: 0.886 0.636 0.616
Ga: 0.968 0.141 0.535
S: 0.087 0.411 0.096
S: 0.093 0.904 0.589
S: 0.096 0.907 0.087
S: 0.101 0.411 0.580
S: 0.148 0.163 0.851
S: 0.149 0.661 0.852
S: 0.163 0.148 0.339
S: 0.177 0.651 0.311
S: 0.311 0.361 0.177
S: 0.339 0.851 0.163
S: 0.349 0.823 0.639
S: 0.361 0.311 0.651
S: 0.408 0.580 0.411
S: 0.411 0.087 0.907
S: 0.411 0.101 0.408
S: 0.420 0.592 0.899
S: 0.580 0.408 0.101
S: 0.589 0.899 0.592
S: 0.589 0.913 0.093
S: 0.592 0.420 0.589
S: 0.639 0.689 0.349
S: 0.651 0.177 0.361
S: 0.661 0.149 0.837
S: 0.689 0.639 0.823
S: 0.823 0.349 0.689
S: 0.837 0.852 0.661
S: 0.851 0.339 0.148
S: 0.852 0.837 0.149
S: 0.899 0.589 0.420
S: 0.904 0.093 0.913
S: 0.907 0.096 0.411
S: 0.913 0.589 0.904

- magnetization (Bohr magnetons per cell) = 0.00
- E (eV for the cell shown) = -216.16
- symmetry = No. 70
- E_form (eV/atom) = -0.74
- theoretical density (g/cm³) = 3.88

***

Entry 4:
The following is a DFT calculation (PBE) of crystalline Ca6Al7O16 at its relaxed geometry.

Lattice parameters (Å, degrees): 10.479 10.479 10.479 109.47 109.47 109.47
Sites, in units of the cell vectors:
Ca: 0.110 0.250 0.360
Ca: 0.140 0.390 0.750
Ca: 0.250 0.360 0.110
Ca: 0.250 0.890 0.640
Ca: 0.360 0.110 0.250
Ca: 0.390 0.750 0.140
Ca: 0.610 0.860 0.750
Ca: 0.640 0.250 0.890
Ca: 0.750 0.140 0.390
Ca: 0.750 0.610 0.860
Ca: 0.860 0.750 0.610
Ca: 0.890 0.640 0.250
Al: 0.000 0.036 0.500
Al: 0.000 0.536 0.500
Al: 0.036 0.500 0.000
Al: 0.125 0.750 0.875
Al: 0.250 0.625 0.375
Al: 0.375 0.250 0.625
Al: 0.464 0.464 0.464
Al: 0.500 0.000 0.036
Al: 0.500 0.000 0.536
Al: 0.536 0.500 0.000
Al: 0.625 0.375 0.250
Al: 0.750 0.875 0.125
Al: 0.875 0.125 0.750
Al: 0.964 0.964 0.964
O: 0.000 0.371 0.500
O: 0.000 0.871 0.500
O: 0.023 0.314 0.906
O: 0.092 0.709 0.686
O: 0.094 0.617 0.408
O: 0.117 0.594 0.908
O: 0.129 0.129 0.129
O: 0.186 0.209 0.592
O: 0.209 0.592 0.186
O: 0.291 0.477 0.383
O: 0.314 0.906 0.023
O: 0.371 0.500 0.000
O: 0.383 0.291 0.477
O: 0.406 0.814 0.523
O: 0.408 0.094 0.617
O: 0.477 0.383 0.291
O: 0.500 0.000 0.371
O: 0.500 0.000 0.871
O: 0.523 0.406 0.814
O: 0.592 0.186 0.209
O: 0.594 0.908 0.117
O: 0.617 0.408 0.094
O: 0.629 0.629 0.629
O: 0.686 0.092 0.709
O: 0.709 0.686 0.092
O: 0.791 0.883 0.977
O: 0.814 0.523 0.406
O: 0.871 0.500 0.000
O: 0.883 0.977 0.791
O: 0.906 0.023 0.314
O: 0.908 0.117 0.594
O: 0.977 0.791 0.883

- E (eV for the cell shown) = -410.61
- symmetry = No. 220
- E_form (eV/atom) = -3.41
- theoretical density (g/cm³) = 2.57

***

Entry 5:
The following is a DFT calculation (PBE) of crystalline MgTi2S4 at its relaxed geometry.

Lattice parameters (Å, degrees): 5.961 3.456 6.133 90.00 91.52 90.00
Sites, in units of the cell vectors:
Mg: 0.000 0.000 0.000
Ti: 0.000 0.500 0.500
Ti: 0.500 0.000 0.000
S: 0.239 0.000 0.673
S: 0.267 0.500 0.181
S: 0.733 0.500 0.819
S: 0.761 0.000 0.327

- magnetization (Bohr magnetons per cell) = 1.66
- E (eV for the cell shown) = -42.95
- symmetry = No. 10
- E_form (eV/atom) = -1.58
- theoretical density (g/cm³) = 3.26

***

Entry 6:
The following is a DFT calculation (PBE) of crystalline Nd2RuO5 at its relaxed geometry.

Lattice parameters (Å, degrees): 10.653 3.988 11.547 90.00 90.00 90.00
Sites, in units of the cell vectors:
Nd: 0.102 0.250 0.231
Nd: 0.133 0.250 0.566
Nd: 0.367 0.750 0.066
Nd: 0.398 0.750 0.731
Nd: 0.602 0.250 0.269
Nd: 0.633 0.250 0.934
Nd: 0.867 0.750 0.434
Nd: 0.898 0.750 0.769
Ru: 0.189 0.250 0.882
Ru: 0.311 0.750 0.382
Ru: 0.689 0.250 0.618
Ru: 0.811 0.750 0.118
O: 0.011 0.750 0.595
O: 0.033 0.250 0.800
O: 0.220 0.250 0.044
O: 0.226 0.750 0.229
O: 0.236 0.750 0.884
O: 0.264 0.250 0.384
O: 0.274 0.250 0.729
O: 0.280 0.750 0.544
O: 0.467 0.750 0.300
O: 0.489 0.250 0.095
O: 0.511 0.750 0.905
O: 0.533 0.250 0.700
O: 0.720 0.250 0.456
O: 0.726 0.750 0.271
O: 0.736 0.750 0.616
O: 0.764 0.250 0.116
O: 0.774 0.250 0.771
O: 0.780 0.750 0.956
O: 0.967 0.750 0.200
O: 0.989 0.250 0.405

- magnetization (Bohr magnetons per cell) = 8.00
- E (eV for the cell shown) = -250.78
- symmetry = No. 62
- E_form (eV/atom) = -2.82
- theoretical density (g/cm³) = 6.36

***

Entry 7:
The following is a DFT calculation (PBE) of crystalline K2InAuCl6 at its relaxed geometry.

Lattice parameters (Å, degrees): 7.426 7.426 7.426 60.00 60.00 60.00
Sites, in units of the cell vectors:
K: 0.250 0.250 0.250
K: 0.750 0.750 0.750
In: 0.000 0.000 0.000
Au: 0.500 0.500 0.500
Cl: 0.244 0.244 0.756
Cl: 0.244 0.756 0.244
Cl: 0.244 0.756 0.756
Cl: 0.756 0.244 0.244
Cl: 0.756 0.244 0.756
Cl: 0.756 0.756 0.244

- magnetization (Bohr magnetons per cell) = 0.00
- E (eV for the cell shown) = -31.18
- symmetry = No. 225
- E_form (eV/atom) = -1.55
- theoretical density (g/cm³) = 3.46

***

Entry 8:
The following is a DFT calculation (PBE) of crystalline Mg2Cu3Ge at its relaxed geometry.

Lattice parameters (Å, degrees): 5.039 5.039 7.969 90.00 90.00 120.00
Sites, in units of the cell vectors:
Mg: 0.333 0.667 0.063
Mg: 0.333 0.667 0.437
Mg: 0.667 0.333 0.563
Mg: 0.667 0.333 0.937
Cu: 0.171 0.342 0.750
Cu: 0.171 0.829 0.750
Cu: 0.342 0.171 0.250
Cu: 0.658 0.829 0.750
Cu: 0.829 0.171 0.250
Cu: 0.829 0.658 0.250
Ge: 0.000 0.000 0.000
Ge: 0.000 0.000 0.500

- E (eV for the cell shown) = -42.67
- symmetry = No. 194
- E_form (eV/atom) = -0.20
- theoretical density (g/cm³) = 5.91

***

Entry 9:
The following is a DFT calculation (PBE) of crystalline Sn4H26Br12O15 at its relaxed geometry.

Lattice parameters (Å, degrees): 10.262 14.455 14.849 103.45 109.83 105.53
Sites, in units of the cell vectors:
Sn: 0.074 0.439 0.428
Sn: 0.182 0.317 0.922
Sn: 0.312 0.181 0.068
Sn: 0.417 0.059 0.566
Sn: 0.583 0.941 0.434
Sn: 0.688 0.819 0.932
Sn: 0.818 0.683 0.078
Sn: 0.926 0.561 0.572
H: 0.021 0.141 0.553
H: 0.030 0.563 0.889
H: 0.032 0.197 0.005
H: 0.097 0.743 0.919
H: 0.104 0.854 0.915
H: 0.111 0.576 0.773
H: 0.122 0.189 0.722
H: 0.154 0.250 0.605
H: 0.156 0.511 0.690
H: 0.169 0.649 0.528
H: 0.176 0.132 0.806
H: 0.205 0.628 0.941
H: 0.293 0.870 0.062
H: 0.317 0.948 0.306
H: 0.328 0.241 0.379
H: 0.331 0.371 0.185
H: 0.350 0.795 0.635
H: 0.373 0.313 0.267
H: 0.379 0.855 0.506
H: 0.400 0.926 0.231
H: 0.403 0.653 0.094
H: 0.405 0.761 0.084
H: 0.416 0.730 0.578
H: 0.422 0.359 0.437
H: 0.463 0.301 0.987
H: 0.469 0.936 0.111
H: 0.531 0.064 0.889
H: 0.537 0.699 0.013
H: 0.578 0.641 0.563
H: 0.584 0.270 0.422
H: 0.595 0.239 0.916
H: 0.597 0.347 0.906
H: 0.600 0.074 0.769
H: 0.621 0.145 0.494
H: 0.627 0.687 0.733
H: 0.650 0.205 0.365
H: 0.669 0.629 0.815
H: 0.672 0.759 0.621
H: 0.683 0.052 0.694
H: 0.707 0.130 0.938
H: 0.795 0.372 0.059
H: 0.824 0.868 0.194
H: 0.831 0.351 0.472
H: 0.844 0.489 0.310
H: 0.846 0.750 0.395
H: 0.878 0.811 0.278
H: 0.889 0.424 0.227
H: 0.896 0.146 0.085
H: 0.903 0.257 0.081
H: 0.968 0.803 0.995
H: 0.970 0.437 0.111
H: 0.979 0.859 0.447
Br: 0.004 0.751 0.676
Br: 0.084 0.694 0.173
Br: 0.175 0.071 0.144
Br: 0.215 0.059 0.402
Br: 0.228 0.975 0.628
Br: 0.236 0.465 0.090
Br: 0.258 0.031 0.903
Br: 0.261 0.520 0.362
Br: 0.282 0.438 0.589
Br: 0.324 0.434 0.854
Br: 0.423 0.813 0.837
Br: 0.494 0.248 0.669
Br: 0.506 0.752 0.331
Br: 0.577 0.187 0.163
Br: 0.676 0.566 0.146
Br: 0.718 0.562 0.411
Br: 0.739 0.480 0.638
Br: 0.742 0.969 0.097
Br: 0.764 0.535 0.910
Br: 0.772 0.025 0.372
Br: 0.785 0.941 0.598
Br: 0.825 0.929 0.856
Br: 0.916 0.306 0.827
Br: 0.996 0.249 0.324
O: 0.079 0.585 0.505
O: 0.081 0.201 0.616
O: 0.109 0.614 0.884
O: 0.110 0.813 0.960
O: 0.113 0.562 0.703
O: 0.118 0.204 0.985
O: 0.136 0.185 0.792
O: 0.333 0.755 0.566
O: 0.369 0.318 0.200
O: 0.377 0.293 0.007
O: 0.392 0.885 0.118
O: 0.394 0.691 0.046
O: 0.406 0.913 0.482
O: 0.410 0.298 0.384
O: 0.414 0.956 0.305
O: 0.586 0.044 0.695
O: 0.590 0.702 0.616
O: 0.594 0.087 0.518
O: 0.606 0.309 0.954
O: 0.608 0.115 0.882
O: 0.623 0.707 0.993
O: 0.631 0.682 0.800
O: 0.667 0.245 0.434
O: 0.864 0.815 0.208
O: 0.882 0.796 0.015
O: 0.887 0.438 0.297
O: 0.890 0.187 0.040
O: 0.891 0.386 0.116
O: 0.919 0.799 0.384
O: 0.921 0.415 0.495

- magnetization (Bohr magnetons per cell) = 0.00
- E (eV for the cell shown) = -507.00
- symmetry = No. 2
- E_form (eV/atom) = -1.15
- theoretical density (g/cm³) = 3.03

***

Entry 10:
The following is a DFT calculation (PBE) of crystalline KTi4Cl11 at its relaxed geometry.

Lattice parameters (Å, degrees): 13.235 6.845 16.972 90.00 90.00 90.00
Sites, in units of the cell vectors:
K: 0.004 0.250 0.240
K: 0.496 0.750 0.740
K: 0.504 0.250 0.260
K: 0.996 0.750 0.760
Ti: 0.181 0.250 0.843
Ti: 0.184 0.250 0.650
Ti: 0.246 0.035 0.507
Ti: 0.246 0.465 0.507
Ti: 0.254 0.535 0.007
Ti: 0.254 0.965 0.007
Ti: 0.316 0.750 0.150
Ti: 0.319 0.750 0.343
Ti: 0.681 0.250 0.657
Ti: 0.684 0.250 0.850
Ti: 0.746 0.035 0.993
Ti: 0.746 0.465 0.993
Ti: 0.754 0.535 0.493
Ti: 0.754 0.965 0.493
Ti: 0.816 0.750 0.350
Ti: 0.819 0.750 0.157
Cl: 0.036 0.250 0.749
Cl: 0.095 0.002 0.584
Cl: 0.095 0.498 0.584
Cl: 0.103 0.505 0.919
Cl: 0.103 0.995 0.919
Cl: 0.153 0.750 0.089
Cl: 0.164 0.250 0.417
Cl: 0.169 0.750 0.427
Cl: 0.178 0.250 0.079
Cl: 0.249 0.512 0.249
Cl: 0.249 0.988 0.249
Cl: 0.251 0.012 0.749
Cl: 0.251 0.488 0.749
Cl: 0.322 0.750 0.579
Cl: 0.331 0.250 0.927
Cl: 0.336 0.750 0.917
Cl: 0.347 0.250 0.589
Cl: 0.397 0.005 0.419
Cl: 0.397 0.495 0.419
Cl: 0.405 0.502 0.084
Cl: 0.405 0.998 0.084
Cl: 0.464 0.750 0.249
Cl: 0.536 0.250 0.751
Cl: 0.595 0.002 0.916
Cl: 0.595 0.498 0.916
Cl: 0.603 0.505 0.581
Cl: 0.603 0.995 0.581
Cl: 0.653 0.750 0.411
Cl: 0.664 0.250 0.083
Cl: 0.669 0.750 0.073
Cl: 0.678 0.250 0.421
Cl: 0.749 0.512 0.251
Cl: 0.749 0.988 0.251
Cl: 0.751 0.012 0.751
Cl: 0.751 0.488 0.751
Cl: 0.822 0.750 0.921
Cl: 0.831 0.250 0.573
Cl: 0.836 0.750 0.583
Cl: 0.847 0.250 0.911
Cl: 0.897 0.005 0.081
Cl: 0.897 0.495 0.081
Cl: 0.905 0.502 0.416
Cl: 0.905 0.998 0.416
Cl: 0.964 0.750 0.251

- magnetization (Bohr magnetons per cell) = 0.07
- E (eV for the cell shown) = -315.26
- symmetry = No. 62
- E_form (eV/atom) = -2.03
- theoretical density (g/cm³) = 2.68

***

> E of number 3 (ZnGa2S4)?

-216.16 eV for the cell shown